No. 1
Entry from Materials Project: a relaxed Ce2Ge6Au crystal (PBE-GGA).

The formation energy comes out at -0.3877 eV/atom. For the total energy, the calculation gives -5.152 eV per atom.

It has space group Amm2 (No. 38), with a = 4.2280 Å, b = 4.1834 Å, c = 22.3420 Å, α = 90.00°, β = 90.00° and γ = 90.00°. Symmetry generates all atoms from Ce at (0.0000, 0.0000, 0.0000), Ce at (0.0000, 0.0000, 0.3379), Ge at (0.0000, 0.0000, 0.6246), Ge at (0.0000, 0.0000, 0.7368), Ge at (0.5000, 0.0000, 0.1254), Ge at (0.5000, 0.0000, 0.2377), Ge at (0.5000, 0.0000, 0.4443), Ge at (0.5000, 0.0000, 0.8801) and Au at (0.5000, 0.0000, 0.5566).


No. 2
Entry from Materials Project: a relaxed CeGeAu crystal (PBE-GGA).

The formation energy comes out at -0.7465 eV/atom. For the total energy, the calculation gives -5.357 eV per atom.

It has space group P6_3mc (No. 186), with a = 4.4701 Å, b = 4.4701 Å, c = 7.9730 Å, α = 90.00°, β = 90.00° and γ = 120.00°. Symmetry generates all atoms from Ce at (0.0000, 0.0000, 0.0000), Ge at (0.3333, 0.6667, 0.2259) and Au at (0.3333, 0.6667, 0.7689).